This record from the Materials Project database describes a relaxed Dy2Al9Rh3 crystal. The functional is GGA-PBE.

Geometry as POSCAR:
```
Dy2Al9Rh3
1.0
6.5219 -3.8005 0.0000
6.5219 3.8005 0.0000
0.0000 0.0000 9.4877
Dy Al Rh
4 18 6
direct
0.0044 0.6685 0.7500 Dy
0.3315 0.9956 0.7500 Dy
0.6685 0.0044 0.2500 Dy
0.9956 0.3315 0.2500 Dy
0.0014 0.6657 0.0732 Al
0.0014 0.6657 0.4268 Al
0.1249 0.8751 0.2500 Al
0.3339 0.6661 0.5546 Al
0.3339 0.6661 0.9454 Al
0.3343 0.9986 0.0732 Al
0.3343 0.9986 0.4268 Al
0.3370 0.4527 0.2500 Al
0.4527 0.3370 0.7500 Al
0.5473 0.6630 0.2500 Al
0.6630 0.5473 0.7500 Al
0.6657 0.0014 0.5732 Al
0.6657 0.0014 0.9268 Al
0.6661 0.3339 0.0546 Al
0.6661 0.3339 0.4454 Al
0.8751 0.1249 0.7500 Al
0.9986 0.3343 0.5732 Al
0.9986 0.3343 0.9268 Al
0.0000 0.0000 0.0000 Rh
0.0000 0.0000 0.5000 Rh
0.3280 0.3280 0.0000 Rh
0.3280 0.3280 0.5000 Rh
0.6720 0.6720 0.0000 Rh
0.6720 0.6720 0.5000 Rh
```

The calculated formation energy comes out at -0.831 eV/atom.